# HgPt4, optimized geometry, DFT PBE
# magnetization	0.42	μB per formula unit
# volume	16.7	Å³/atom
# ΔH_f (0 K)	0.100	eV per atom
data_HgPt4
_chemical_formula_sum 'Hg3 Pt12'
_symmetry_space_group_name_H-M 'R -3 m'
_symmetry_Int_Tables_number 166
_symmetry_space_group_name_Hall '-R 3 2"'
_cell_length_a 2.9057
_cell_length_b 2.9057
_cell_length_c 34.2129
_cell_angle_alpha 90.00
_cell_angle_beta 90.00
_cell_angle_gamma 120.00
loop_
_atom_site_label
_atom_site_type_symbol
_atom_site_fract_x
_atom_site_fract_y
_atom_site_fract_z
Hg1 Hg 0.0000 0.0000 0.0000
Pt1 Pt 0.0000 0.0000 0.1987
Pt2 Pt 0.0000 0.0000 0.4030